# U2O5F8

U2O5F8 after structural relaxation (PBE-GGA, the Materials Project database).

- space group = Pnma (62)
- crystal system = orthorhombic
- total energy (eV/atom) = -6.60
- formation enthalpy at 0 K (eV/atom) = -2.67
- spin magnetization (Bohr magnetons per cell) = 0.00

abc: 12.699 10.444 10.232
angles: 90.00 90.00 90.00
Fractional coordinates of all 60 atoms:
U  0.064  0.250  0.062
U  0.218  0.750  0.210
U  0.282  0.250  0.710
U  0.436  0.750  0.562
U  0.564  0.250  0.438
U  0.718  0.750  0.290
U  0.782  0.250  0.790
U  0.936  0.750  0.938
O  0.025  0.250  0.601
O  0.073  0.145  0.627
O  0.073  0.355  0.627
O  0.209  0.580  0.234
O  0.209  0.920  0.234
O  0.291  0.080  0.734
O  0.291  0.420  0.734
O  0.427  0.645  0.127
O  0.427  0.855  0.127
O  0.475  0.750  0.101
O  0.525  0.250  0.899
O  0.573  0.145  0.873
O  0.573  0.355  0.873
O  0.709  0.580  0.266
O  0.709  0.920  0.266
O  0.791  0.080  0.766
O  0.791  0.420  0.766
O  0.927  0.645  0.373
O  0.927  0.855  0.373
O  0.975  0.750  0.399
F  0.037  0.604  0.901
F  0.037  0.896  0.901
F  0.050  0.750  0.114
F  0.082  0.250  0.260
F  0.147  0.250  0.863
F  0.174  0.112  0.065
F  0.174  0.388  0.065
F  0.244  0.250  0.512
F  0.256  0.750  0.012
F  0.326  0.612  0.565
F  0.326  0.888  0.565
F  0.353  0.750  0.363
F  0.418  0.750  0.760
F  0.450  0.250  0.614
F  0.463  0.104  0.401
F  0.463  0.396  0.401
F  0.537  0.604  0.599
F  0.537  0.896  0.599
F  0.550  0.750  0.386
F  0.582  0.250  0.240
F  0.647  0.250  0.637
F  0.674  0.112  0.435
F  0.674  0.388  0.435
F  0.744  0.250  0.988
F  0.756  0.750  0.488
F  0.826  0.612  0.935
F  0.826  0.888  0.935
F  0.853  0.750  0.137
F  0.918  0.750  0.740
F  0.950  0.250  0.886
F  0.963  0.104  0.099
F  0.963  0.396  0.099

=====

# UOF3

UOF3 after structural relaxation (PBE-GGA, the Materials Project database).

- space group = P3m1 (156)
- crystal system = trigonal
- total energy (eV/atom) = -7.32
- formation enthalpy at 0 K (eV/atom) = -3.34
- spin magnetization (Bohr magnetons per cell) = 0.99

abc: 3.812 3.812 5.113
angles: 90.00 90.00 120.00
Fractional coordinates of all 5 atoms:
U  0.000  0.000  0.000
O  0.667  0.333  0.133
F  0.000  0.000  0.398
F  0.333  0.667  0.883
F  0.667  0.333  0.682

=====

# UOF4

UOF4 after structural relaxation (PBE-GGA, the Materials Project database).

- space group = R3m (160)
- crystal system = trigonal
- total energy (eV/atom) = -7.22
- formation enthalpy at 0 K (eV/atom) = -3.66
- E above lowest polymorph (meV/atom) = 0

abc: 8.031 8.031 8.031
angles: 114.44 114.44 114.44
Fractional coordinates of all 18 atoms:
U  0.194  0.194  0.612
U  0.194  0.612  0.194
U  0.612  0.194  0.194
O  0.532  0.937  0.937
O  0.937  0.532  0.937
O  0.937  0.937  0.532
F  0.229  0.985  0.985
F  0.293  0.491  0.962
F  0.293  0.962  0.491
F  0.479  0.479  0.704
F  0.479  0.704  0.479
F  0.491  0.293  0.962
F  0.491  0.962  0.293
F  0.704  0.479  0.479
F  0.962  0.293  0.491
F  0.962  0.491  0.293
F  0.985  0.229  0.985
F  0.985  0.985  0.229

=====

# UOF4

UOF4 after structural relaxation (PBE-GGA, the Materials Project database).

- space group = I-42d (122)
- crystal system = tetragonal
- total energy (eV/atom) = -7.15
- formation enthalpy at 0 K (eV/atom) = -3.59
- E above lowest polymorph (meV/atom) = 69
- spin magnetization (Bohr magnetons per cell) = 0.00

abc: 8.883 8.883 8.883
angles: 96.26 96.26 141.43
Fractional coordinates of all 24 atoms:
U  0.375  0.048  0.173
U  0.798  0.625  0.673
U  0.875  0.202  0.827
U  0.952  0.125  0.327
O  0.105  0.125  0.480
O  0.375  0.895  0.020
O  0.645  0.625  0.520
O  0.875  0.355  0.980
F  0.038  0.827  0.920
F  0.116  0.851  0.606
F  0.149  0.756  0.265
F  0.173  0.092  0.210
F  0.244  0.509  0.394
F  0.259  0.494  0.894
F  0.491  0.884  0.735
F  0.506  0.399  0.765
F  0.577  0.288  0.420
F  0.601  0.366  0.106
F  0.634  0.741  0.235
F  0.712  0.132  0.290
F  0.842  0.423  0.710
F  0.868  0.158  0.580
F  0.882  0.962  0.790
F  0.908  0.118  0.080

=====

# XeO2F2

XeO2F2 after structural relaxation (PBE-GGA, the Materials Project database).

- space group = Cmcm (63)
- crystal system = orthorhombic
- total energy (eV/atom) = -2.22
- formation enthalpy at 0 K (eV/atom) = 0.07
- spin magnetization (Bohr magnetons per cell) = 0.00

abc: 4.607 4.607 8.879
angles: 90.00 90.00 91.07
Fractional coordinates of all 10 atoms:
Xe  0.230  0.770  0.750
Xe  0.770  0.230  0.250
O  0.168  0.307  0.250
O  0.307  0.168  0.750
O  0.693  0.832  0.250
O  0.832  0.693  0.750
F  0.252  0.748  0.520
F  0.252  0.748  0.980
F  0.748  0.252  0.020
F  0.748  0.252  0.480

=====

# YOF

YOF after structural relaxation (PBE-GGA, the Materials Project database).

- space group = R-3m (166)
- crystal system = trigonal
- total energy (eV/atom) = -8.29
- formation enthalpy at 0 K (eV/atom) = -4.23

abc: 6.761 6.761 6.761
angles: 32.96 32.96 32.96
Fractional coordinates of all 6 atoms:
Y  0.241  0.241  0.241
Y  0.759  0.759  0.759
O  0.122  0.122  0.122
O  0.878  0.878  0.878
F  0.370  0.370  0.370
F  0.630  0.630  0.630

=====

# Y7O6F9

Y7O6F9 after structural relaxation (PBE-GGA, the Materials Project database).

- space group = Aem2 (39)
- crystal system = orthorhombic
- total energy (eV/atom) = -8.00
- formation enthalpy at 0 K (eV/atom) = -4.19
- E above lowest polymorph (meV/atom) = 76
- spin magnetization (Bohr magnetons per cell) = 0.00

abc: 5.523 19.917 19.917
angles: 163.90 90.00 90.00
Fractional coordinates of all 44 atoms:
Y  0.200  0.100  0.900
Y  0.200  0.400  0.600
Y  0.234  0.679  0.341
Y  0.234  0.841  0.179
Y  0.238  0.546  0.489
Y  0.238  0.989  0.046
Y  0.242  0.325  0.825
Y  0.758  0.825  0.325
Y  0.762  0.046  0.989
Y  0.762  0.489  0.546
Y  0.766  0.179  0.841
Y  0.766  0.341  0.679
Y  0.800  0.600  0.400
Y  0.800  0.900  0.100
O  0.000  0.263  0.263
O  0.000  0.763  0.763
O  0.021  0.384  0.099
O  0.021  0.599  0.884
O  0.039  0.354  0.214
O  0.039  0.714  0.854
O  0.500  0.278  0.278
O  0.500  0.778  0.778
O  0.961  0.214  0.354
O  0.961  0.854  0.714
O  0.979  0.099  0.384
O  0.979  0.884  0.599
F  0.050  0.002  0.571
F  0.050  0.071  0.502
F  0.371  0.702  0.202
F  0.401  0.344  0.946
F  0.401  0.446  0.844
F  0.455  0.100  0.254
F  0.455  0.754  0.600
F  0.466  0.178  0.461
F  0.466  0.961  0.678
F  0.534  0.461  0.178
F  0.534  0.678  0.961
F  0.545  0.254  0.100
F  0.545  0.600  0.754
F  0.599  0.844  0.446
F  0.599  0.946  0.344
F  0.629  0.202  0.702
F  0.950  0.502  0.071
F  0.950  0.571  0.002

=====

# Y5O4F7

Y5O4F7 after structural relaxation (PBE-GGA, the Materials Project database).

- space group = Pc (7)
- crystal system = monoclinic
- largest piezoelectric modulus (C/m2) = 1.6
- total energy (eV/atom) = -7.79
- formation enthalpy at 0 K (eV/atom) = -4.07
- E above lowest polymorph (meV/atom) = 203
- spin magnetization (Bohr magnetons per cell) = 0.00

abc: 6.788 8.856 8.222
angles: 90.00 108.69 90.00
Fractional coordinates of all 32 atoms:
Y  0.000  0.016  0.000
Y  0.000  0.984  0.500
Y  0.244  0.283  0.313
Y  0.244  0.717  0.813
Y  0.517  0.077  0.680
Y  0.517  0.923  0.180
Y  0.626  0.282  0.107
Y  0.626  0.718  0.607
Y  0.927  0.350  0.567
Y  0.927  0.650  0.067
O  0.212  0.205  0.583
O  0.212  0.795  0.083
O  0.360  0.140  0.130
O  0.360  0.860  0.630
O  0.648  0.071  0.965
O  0.648  0.929  0.465
O  0.832  0.197  0.349
O  0.832  0.803  0.849
F  0.033  0.485  0.318
F  0.033  0.515  0.818
F  0.158  0.028  0.304
F  0.158  0.972  0.804
F  0.382  0.440  0.165
F  0.382  0.560  0.665
F  0.561  0.278  0.516
F  0.561  0.722  0.016
F  0.698  0.468  0.952
F  0.698  0.532  0.452
F  0.871  0.156  0.733
F  0.871  0.844  0.233
F  0.972  0.264  0.074
F  0.972  0.736  0.574

=====

# YOF

YOF after structural relaxation (PBE-GGA, the Materials Project database).

- space group = P4/nmm (129)
- crystal system = tetragonal
- total energy (eV/atom) = -8.28
- formation enthalpy at 0 K (eV/atom) = -4.22

abc: 3.876 3.876 5.520
angles: 90.00 90.00 90.00
Fractional coordinates of all 6 atoms:
Y  0.250  0.250  0.210
Y  0.750  0.750  0.790
O  0.250  0.750  0.000
O  0.750  0.250  0.000
F  0.250  0.750  0.500
F  0.750  0.250  0.500

=====

# Y6O5F8

Y6O5F8 after structural relaxation (PBE-GGA, the Materials Project database).

- space group = C2 (5)
- crystal system = monoclinic
- total energy (eV/atom) = -7.99
- formation enthalpy at 0 K (eV/atom) = -4.22
- E above lowest polymorph (meV/atom) = 52
- spin magnetization (Bohr magnetons per cell) = 0.00

abc: 9.182 9.182 5.525
angles: 90.03 90.03 145.02
Fractional coordinates of all 19 atoms:
Y  0.058  0.408  0.712
Y  0.230  0.230  0.287
Y  0.411  0.087  0.702
Y  0.592  0.942  0.288
Y  0.770  0.770  0.713
Y  0.913  0.589  0.298
O  0.083  0.917  0.500
O  0.252  0.748  0.500
O  0.573  0.427  0.500
O  0.741  0.259  0.500
O  0.912  0.088  0.500
F  0.062  0.938  0.000
F  0.205  0.795  0.000
F  0.347  0.653  0.000
F  0.412  0.588  0.500
F  0.485  0.515  0.000
F  0.627  0.373  0.000
F  0.770  0.230  0.000
F  0.916  0.084  0.000

=====

# YOF

YOF after structural relaxation (PBE-GGA, the Materials Project database).

- space group = C2/m (12)
- crystal system = monoclinic
- total energy (eV/atom) = -7.99
- formation enthalpy at 0 K (eV/atom) = -3.93
- spin magnetization (Bohr magnetons per cell) = 0.00

abc: 4.103 4.103 5.364
angles: 103.55 103.55 59.53
Fractional coordinates of all 6 atoms:
Y  0.211  0.211  0.233
Y  0.789  0.789  0.767
O  0.123  0.123  0.827
O  0.877  0.877  0.173
F  0.402  0.402  0.648
F  0.598  0.598  0.352

=====

# Y5O4F7

Y5O4F7 after structural relaxation (PBE-GGA, the Materials Project database).

- space group = C2 (5)
- crystal system = monoclinic
- total energy (eV/atom) = -8.00
- formation enthalpy at 0 K (eV/atom) = -4.28
- E above lowest polymorph (meV/atom) = 1

abc: 14.289 14.289 5.482
angles: 90.14 90.14 22.68
Fractional coordinates of all 32 atoms:
Y  0.049  0.049  0.207
Y  0.116  0.178  0.788
Y  0.268  0.233  0.223
Y  0.295  0.410  0.792
Y  0.454  0.447  0.205
Y  0.553  0.546  0.795
Y  0.590  0.705  0.208
Y  0.767  0.732  0.777
Y  0.822  0.884  0.212
Y  0.951  0.951  0.793
O  0.036  0.559  0.037
O  0.119  0.681  0.027
O  0.265  0.735  0.000
O  0.319  0.881  0.973
O  0.441  0.964  0.963
O  0.617  0.178  0.974
O  0.763  0.237  0.000
O  0.822  0.383  0.026
F  0.136  0.361  0.609
F  0.148  0.852  0.500
F  0.246  0.580  0.544
F  0.259  0.085  0.407
F  0.420  0.754  0.456
F  0.425  0.229  0.409
F  0.538  0.062  0.952
F  0.639  0.864  0.391
F  0.649  0.351  0.500
F  0.754  0.074  0.452
F  0.771  0.575  0.591
F  0.915  0.741  0.593
F  0.926  0.246  0.548
F  0.938  0.462  0.048

=====

Which formula does entry 11 have? YOF